MgCrO3 PBE with a Hubbard U optimized geometry; total magnetic moment = 8.00 μB/cell; space group = No. 62; E (MP2020) = -152.2 eV/cell; calculated formation energy = -2392 meV/atom; final energy = -6.799 eV per atom
1.0
-1.8698 3.0955 -3.4861
-2.0430 -4.0905 -2.5364
-6.2052 0.6679 3.9212
Mg Cr O
4 4 12
direct
0.4891 0.0602 0.7500
0.9891 0.4398 0.2500
0.0109 0.5602 0.7500
0.5109 0.9398 0.2500
0.0000 0.0000 0.5000
0.5000 0.5000 0.5000
0.5000 0.5000 0.0000
0.0000 0.0000 0.0000
0.3766 0.5553 0.2500
0.8766 0.9447 0.7500
0.1234 0.0553 0.2500
0.6234 0.4447 0.7500
0.1830 0.3134 0.9358
0.6830 0.1866 0.0642
0.3170 0.8134 0.5642
0.8170 0.6866 0.4358
0.1830 0.3134 0.5642
0.6830 0.1866 0.4358
0.8170 0.6866 0.0642
0.3170 0.8134 0.9358